[1]
# KSr2Nb4FeO15, optimized geometry, DFT PBE+U
data_KSr2Nb4FeO15
_chemical_formula_sum 'K2 Sr4 Nb8 Fe2 O30'
_space_group_name_H-M_alt 'P 4 b m'
_space_group_IT_number 100
_space_group_name_Hall 'P 4 -2ab'
_cell_length_a 12.4959
_cell_length_b 12.4959
_cell_length_c 4.0395
_cell_angle_alpha 90.00
_cell_angle_beta 90.00
_cell_angle_gamma 90.00
loop_
_atom_site_label
_atom_site_type_symbol
_atom_site_fract_x
_atom_site_fract_y
_atom_site_fract_z
_atom_site_occupancy
K1 K 0.0000 0.0000 0.0000 1
Sr1 Sr 0.1495 0.3505 0.9950 1
Nb1 Nb 0.0800 0.7889 0.5191 1
Fe1 Fe 0.0000 0.5000 0.4835 1
O1 O 0.0000 0.5000 0.9790 1
O2 O 0.0085 0.3484 0.4777 1
O3 O 0.0670 0.1426 0.4760 1
O4 O 0.0763 0.7868 0.9800 1
O5 O 0.2277 0.7277 0.4731 1
# ρ = 4.643 g/cm³
# MP2020-corrected energy = -8.3168 eV per atom
# Energy of formation from the pure elements = -2.770 eV per atom
# M_tot = 3.903 μB/f.u.

---

[2]
# Ti3FeBi5O15, optimized geometry, DFT PBE+U
data_Ti3FeBi5O15
_chemical_formula_sum 'Ti6 Fe2 Bi10 O30'
_space_group_name_H-M_alt 'C 1 m 1'
_space_group_IT_number 8
_space_group_name_Hall 'C -2y'
_cell_length_a 5.6817
_cell_length_b 5.5406
_cell_length_c 20.7060
_cell_angle_alpha 90.00
_cell_angle_beta 97.59
_cell_angle_gamma 90.00
loop_
_atom_site_label
_atom_site_type_symbol
_atom_site_fract_x
_atom_site_fract_y
_atom_site_fract_z
_atom_site_occupancy
Ti1 Ti 0.0000 0.0000 0.0000 1
Ti2 Ti 0.1040 0.0000 0.2036 1
Ti3 Ti 0.3002 0.5000 0.5981 1
Fe1 Fe 0.4135 0.5000 0.8025 1
Bi1 Bi 0.0904 0.5000 0.3391 1
Bi2 Bi 0.1525 0.0000 0.4622 1
Bi3 Bi 0.2807 0.0000 0.6949 1
Bi4 Bi 0.3915 0.0000 0.8917 1
Bi5 Bi 0.4915 0.0000 0.1051 1
O1 O 0.0101 0.0000 0.9048 1
O2 O 0.0940 0.2408 0.6149 1
O3 O 0.1007 0.0000 0.0948 1
O4 O 0.1780 0.0000 0.2906 1
O5 O 0.2007 0.2336 0.8105 1
O6 O 0.2888 0.5000 0.5117 1
O7 O 0.3007 0.2397 0.9999 1
O8 O 0.3810 0.2418 0.1866 1
O9 O 0.4025 0.5000 0.7066 1
O10 O 0.4154 0.2499 0.4012 1
# ρ = 7.630 g/cm³
# MP2020-corrected energy = -7.5734 eV per atom
# Energy of formation from the pure elements = -2.331 eV per atom
# M_tot = 5.000 μB/f.u.
# Offset from the most stable computed form = 29.4 meV/atom

---

[3]
# Ca4Co5Te3O18, optimized geometry, DFT PBE+U
data_Ca4Co5Te3O18
_chemical_formula_sum 'Ca16 Co20 Te12 O72'
_space_group_name_H-M_alt 'C 1 2/c 1'
_space_group_IT_number 15
_space_group_name_Hall '-C 2yc'
_cell_length_a 15.8999
_cell_length_b 9.3286
_cell_length_c 10.6584
_cell_angle_alpha 90.00
_cell_angle_beta 95.12
_cell_angle_gamma 90.00
loop_
_atom_site_label
_atom_site_type_symbol
_atom_site_fract_x
_atom_site_fract_y
_atom_site_fract_z
_atom_site_occupancy
Ca1 Ca 0.0161 0.1594 0.0480 1
Ca2 Ca 0.1952 0.3678 0.9042 1
Co1 Co 0.0000 0.3277 0.7500 1
Co2 Co 0.1446 0.3335 0.2745 1
Co3 Co 0.1721 0.2213 0.5647 1
Te1 Te 0.0000 0.5000 0.0000 1
Te2 Te 0.1656 0.0139 0.8072 1
O1 O 0.0569 0.3405 0.9261 1
O2 O 0.0666 0.4823 0.1622 1
O3 O 0.0827 0.0027 0.9254 1
O4 O 0.0843 0.3555 0.4438 1
O5 O 0.1039 0.1718 0.7087 1
O6 O 0.1155 0.1421 0.2022 1
O7 O 0.2222 0.1583 0.3960 1
O8 O 0.2362 0.1419 0.9081 1
O9 O 0.2494 0.0529 0.6823 1
# ρ = 4.749 g/cm³
# MP2020-corrected energy = -6.7018 eV per atom
# Energy of formation from the pure elements = -1.967 eV per atom
# M_tot = 15.000 μB/f.u.

---

[4]
# LiFeSi3O8, optimized geometry, DFT PBE+U
data_LiFeSi3O8
_chemical_formula_sum 'Li8 Fe8 Si24 O64'
_space_group_name_H-M_alt 'C 1 2/c 1'
_space_group_IT_number 15
_space_group_name_Hall '-C 2yc'
_cell_length_a 7.9799
_cell_length_b 13.3725
_cell_length_c 12.9401
_cell_angle_alpha 90.00
_cell_angle_beta 94.97
_cell_angle_gamma 90.00
loop_
_atom_site_label
_atom_site_type_symbol
_atom_site_fract_x
_atom_site_fract_y
_atom_site_fract_z
_atom_site_occupancy
Li1 Li 0.0560 0.2487 0.0723 1
Fe1 Fe 0.2495 0.1402 0.6662 1
Si1 Si 0.1378 0.4191 0.8858 1
Si2 Si 0.1580 0.0883 0.8967 1
Si3 Si 0.2416 0.3704 0.6631 1
O1 O 0.0333 0.1270 0.6020 1
O2 O 0.0455 0.3639 0.6136 1
O3 O 0.1163 0.4610 0.3831 1
O4 O 0.1605 0.2312 0.3683 1
O5 O 0.1623 0.0336 0.3822 1
O6 O 0.2364 0.3551 0.1879 1
O7 O 0.2419 0.3784 0.7898 1
O8 O 0.2472 0.3746 0.9898 1
# ρ = 2.656 g/cm³
# MP2020-corrected energy = -7.9212 eV per atom
# Energy of formation from the pure elements = -2.826 eV per atom
# M_tot = 5.001 μB/f.u.
# Offset from the most stable computed form = 20.4 meV/atom

---

[5]
# K2Fe2P3O12, optimized geometry, DFT PBE+U
data_K2Fe2P3O12
_chemical_formula_sum 'K8 Fe8 P12 O48'
_space_group_name_H-M_alt 'P 21 3'
_space_group_IT_number 198
_space_group_name_Hall 'P 2ac 2ab 3'
_cell_length_a 10.0376
_cell_length_b 10.0376
_cell_length_c 10.0376
_cell_angle_alpha 90.00
_cell_angle_beta 90.00
_cell_angle_gamma 90.00
loop_
_atom_site_label
_atom_site_type_symbol
_atom_site_fract_x
_atom_site_fract_y
_atom_site_fract_z
_atom_site_occupancy
K1 K 0.0431 0.0431 0.0431 1
K2 K 0.1828 0.3172 0.6828 1
Fe1 Fe 0.1034 0.8966 0.3966 1
Fe2 Fe 0.1641 0.6641 0.8359 1
P1 P 0.0209 0.2109 0.3758 1
O1 O 0.0075 0.5564 0.7681 1
O2 O 0.0128 0.0639 0.3278 1
O3 O 0.0468 0.8020 0.2278 1
O4 O 0.0993 0.8328 0.7504 1
# ρ = 3.118 g/cm³
# MP2020-corrected energy = -7.2501 eV per atom
# Energy of formation from the pure elements = -2.262 eV per atom
# M_tot = 2.873 μB/f.u.

---

[6]
# Li5Fe3Sn2O10, optimized geometry, DFT PBE+U
data_Li5Fe3Sn2O10
_chemical_formula_sum 'Li5 Fe3 Sn2 O10'
_space_group_name_H-M_alt 'P -1'
_space_group_IT_number 2
_space_group_name_Hall '-P 1'
_cell_length_a 5.2307
_cell_length_b 5.3551
_cell_length_c 8.0640
_cell_angle_alpha 72.31
_cell_angle_beta 71.94
_cell_angle_gamma 80.32
loop_
_atom_site_label
_atom_site_type_symbol
_atom_site_fract_x
_atom_site_fract_y
_atom_site_fract_z
_atom_site_occupancy
Li1 Li 0.0000 0.0000 0.0000 1
Li2 Li 0.4930 0.9079 0.7075 1
Li3 Li 0.4949 0.7323 0.0921 1
Fe1 Fe 0.0030 0.8080 0.3941 1
Fe2 Fe 0.5000 0.5000 0.5000 1
Sn1 Sn 0.0096 0.3967 0.1979 1
O1 O 0.2297 0.6431 0.9597 1
O2 O 0.2375 0.0543 0.1620 1
O3 O 0.2456 0.4405 0.3587 1
O4 O 0.2551 0.8217 0.5613 1
O5 O 0.2611 0.2822 0.7324 1
# ρ = 4.883 g/cm³
# MP2020-corrected energy = -6.6235 eV per atom
# Energy of formation from the pure elements = -2.001 eV per atom
# M_tot = 12.996 μB/f.u.

---

[7]
# Li9Mn2Co5O16, optimized geometry, DFT PBE+U
data_Li9Mn2Co5O16
_chemical_formula_sum 'Li18 Mn4 Co10 O32'
_space_group_name_H-M_alt 'C 1 m 1'
_space_group_IT_number 8
_space_group_name_Hall 'C -2y'
_cell_length_a 9.7914
_cell_length_b 2.8875
_cell_length_c 20.6391
_cell_angle_alpha 90.00
_cell_angle_beta 98.78
_cell_angle_gamma 90.00
loop_
_atom_site_label
_atom_site_type_symbol
_atom_site_fract_x
_atom_site_fract_y
_atom_site_fract_z
_atom_site_occupancy
Li1 Li 0.0000 0.0000 0.0000 1
Li2 Li 0.0004 0.5000 0.1340 1
Li3 Li 0.0024 0.5000 0.3871 1
Li4 Li 0.0059 0.0000 0.7637 1
Li5 Li 0.0068 0.5000 0.6363 1
Li6 Li 0.0083 0.0000 0.5063 1
Li7 Li 0.0097 0.0000 0.2606 1
Li8 Li 0.2551 0.5000 0.8178 1
Li9 Li 0.4857 0.0000 0.8734 1
Mn1 Mn 0.2537 0.5000 0.0693 1
Mn2 Mn 0.2634 0.0000 0.6996 1
Co1 Co 0.2390 0.0000 0.9315 1
Co2 Co 0.2515 0.0000 0.1971 1
Co3 Co 0.2546 0.0000 0.4463 1
Co4 Co 0.2557 0.5000 0.5709 1
Co5 Co 0.2567 0.5000 0.3222 1
O1 O 0.1246 0.0000 0.8561 1
O2 O 0.1338 0.5000 0.2234 1
O3 O 0.1370 0.5000 0.4756 1
O4 O 0.1419 0.0000 0.0993 1
O5 O 0.1440 0.0000 0.3516 1
O6 O 0.1464 0.5000 0.7204 1
O7 O 0.1468 0.5000 0.9846 1
O8 O 0.1512 0.0000 0.6032 1
O9 O 0.3621 0.5000 0.1614 1
O10 O 0.3659 0.0000 0.2893 1
O11 O 0.3656 0.0000 0.5416 1
O12 O 0.3659 0.5000 0.9169 1
O13 O 0.3671 0.0000 0.0457 1
O14 O 0.3707 0.0000 0.7798 1
O15 O 0.3716 0.5000 0.6663 1
O16 O 0.3736 0.5000 0.4181 1
# ρ = 4.164 g/cm³
# MP2020-corrected energy = -6.5167 eV per atom
# Energy of formation from the pure elements = -1.823 eV per atom
# M_tot = 13.596 μB/f.u.
# Offset from the most stable computed form = 41.6 meV/atom

---

[8]
# Li3Fe8B8O24, optimized geometry, DFT PBE+U
data_Li3Fe8B8O24
_chemical_formula_sum 'Li3 Fe8 B8 O24'
_space_group_name_H-M_alt 'P 1'
_space_group_IT_number 1
_space_group_name_Hall 'P 1'
_cell_length_a 5.2558
_cell_length_b 5.2710
_cell_length_c 20.0793
_cell_angle_alpha 90.31
_cell_angle_beta 90.41
_cell_angle_gamma 119.25
loop_
_atom_site_label
_atom_site_type_symbol
_atom_site_fract_x
_atom_site_fract_y
_atom_site_fract_z
_atom_site_occupancy
Li1 Li 0.0000 0.0000 0.0000 1
Li2 Li 0.0244 0.9751 0.7481 1
Li3 Li 0.7022 0.6774 0.3696 1
Fe1 Fe 0.0345 0.3483 0.8582 1
Fe2 Fe 0.0393 0.3266 0.3581 1
Fe3 Fe 0.3534 0.6662 0.2354 1
Fe4 Fe 0.3572 0.0063 0.6091 1
Fe5 Fe 0.3668 0.6472 0.7315 1
Fe6 Fe 0.3765 0.0100 0.1084 1
Fe7 Fe 0.6739 0.3414 0.9818 1
Fe8 Fe 0.6830 0.3278 0.4838 1
B1 B 0.0190 0.3360 0.6068 1
B2 B 0.0316 0.3449 0.1071 1
B3 B 0.3544 0.6699 0.9830 1
B4 B 0.3559 0.6700 0.4822 1
B5 B 0.3595 0.9976 0.3591 1
B6 B 0.3679 0.0042 0.8556 1
B7 B 0.6961 0.3346 0.2337 1
B8 B 0.6969 0.3278 0.7329 1
O1 O 0.0542 0.0973 0.6089 1
O2 O 0.0840 0.4475 0.4626 1
O3 O 0.0847 0.1190 0.0968 1
O4 O 0.0956 0.9840 0.3590 1
O5 O 0.1037 0.4158 0.9601 1
O6 O 0.1364 0.0523 0.8476 1
O7 O 0.2410 0.6047 0.6286 1
O8 O 0.2460 0.6085 0.1340 1
O9 O 0.3232 0.9070 0.0055 1
O10 O 0.3363 0.7354 0.8376 1
O11 O 0.3788 0.9312 0.5056 1
O12 O 0.3893 0.7591 0.3366 1
O13 O 0.4440 0.0751 0.7105 1
O14 O 0.4778 0.0668 0.2078 1
O15 O 0.5964 0.6365 0.4741 1
O16 O 0.6145 0.2465 0.3814 1
O17 O 0.6194 0.6849 0.9845 1
O18 O 0.6328 0.2206 0.8801 1
O19 O 0.6462 0.5620 0.2412 1
O20 O 0.7094 0.5907 0.7340 1
O21 O 0.7540 0.3168 0.5856 1
O22 O 0.7656 0.3172 0.0869 1
O23 O 0.9364 0.2989 0.7552 1
O24 O 0.9598 0.3558 0.2533 1
# ρ = 3.210 g/cm³
# MP2020-corrected energy = -7.9679 eV per atom
# Energy of formation from the pure elements = -2.255 eV per atom
# M_tot = 37.000 μB/f.u.
# Offset from the most stable computed form = 0.9 meV/atom

---

[9]
# Fe3Sb2Br4O4, optimized geometry, DFT PBE+U
data_Fe3Sb2Br4O4
_chemical_formula_sum 'Fe6 Sb4 Br8 O8'
_space_group_name_H-M_alt 'P 1 21/c 1'
_space_group_IT_number 14
_space_group_name_Hall '-P 2ybc'
_cell_length_a 7.2667
_cell_length_b 14.9329
_cell_length_c 6.4212
_cell_angle_alpha 90.00
_cell_angle_beta 116.21
_cell_angle_gamma 90.00
loop_
_atom_site_label
_atom_site_type_symbol
_atom_site_fract_x
_atom_site_fract_y
_atom_site_fract_z
_atom_site_occupancy
Fe1 Fe 0.0000 0.0000 0.0000 1
Fe2 Fe 0.0153 0.2500 0.2575 1
Sb1 Sb 0.2150 0.0566 0.6071 1
Br1 Br 0.2389 0.6607 0.6193 1
Br2 Br 0.3204 0.1154 0.1605 1
O1 O 0.9998 0.0000 0.3064 1
O2 O 0.0809 0.1756 0.5403 1
# ρ = 4.222 g/cm³
# MP2020-corrected energy = -5.8756 eV per atom
# Energy of formation from the pure elements = -1.260 eV per atom
# M_tot = 4.006 μB/f.u.